[1]
VASP calculation (GGA+U) on crystalline MoH4O5 at its relaxed geometry.

Geometry as POSCAR:
```
MoH4O5
1.0
-11.2691 -8.1153 2.1885
6.3359 -8.1661 2.3436
6.0750 -5.0233 12.6546
Mo H O
16 64 80
Cartesian
-4.4471 -10.9790 4.2158
1.2366 -7.0066 3.2917
2.5275 -7.8312 6.6482
-1.3857 -13.4735 10.5384
4.3561 -9.4592 9.6031
4.2099 -10.7104 4.6562
1.6418 -17.1761 11.9895
2.6634 -6.5496 11.5000
-1.5216 -14.7551 5.6866
-0.0948 -14.2981 13.8950
5.5889 -10.3257 12.9709
7.2767 -13.2010 10.9778
-6.1349 -8.1037 6.2088
-3.0681 -10.5943 12.5305
-3.2144 -11.8455 7.5836
-0.5000 -4.1286 5.1972
4.3813 -13.8662 10.9397
0.6217 -9.8730 5.9266
1.1407 -19.9688 16.4167
2.3107 -14.4272 9.2723
-0.9390 -7.8034 5.8209
5.0735 -14.5446 13.1870
-1.6587 -8.9232 6.6697
5.4997 -6.8113 8.8793
7.9087 -9.7843 9.1225
1.7371 -3.1147 1.5334
7.8417 -9.3727 11.4417
3.9532 -4.8602 5.6165
-0.4893 -18.5252 13.3024
2.1755 -10.8395 12.8790
-0.5953 -18.1899 15.6533
-3.2395 -7.4385 6.2469
-5.2031 -14.0476 5.8631
0.4048 -10.4891 3.6626
0.4795 -8.3078 11.0250
-0.1968 -10.8094 10.0074
0.0011 -1.3359 0.7700
6.2914 -7.9536 8.1203
-1.1689 -6.8775 7.9144
1.6311 -2.7794 3.8842
1.3385 -10.4953 7.1793
-3.4708 -14.9273 13.9388
-3.9317 -6.7601 3.9997
-1.0785 -8.5619 2.6343
4.4927 -15.6243 14.1764
-5.4910 -12.5820 11.2197
8.5258 -10.0185 12.7007
6.6328 -8.7227 5.9670
4.3664 -4.8220 8.4288
0.1729 -8.9402 8.7543
2.8623 -13.9929 13.8224
-1.2342 -8.8546 9.4641
2.0808 -13.5013 11.3658
6.3449 -7.2570 11.3236
-5.1496 -13.3510 9.0664
-0.0335 -12.3524 4.9089
4.6126 -6.3774 3.2478
5.6414 -8.2596 3.7778
0.7370 -10.8156 13.5241
1.1753 -8.9523 12.2778
-4.3579 -14.4934 8.3073
-1.2000 -17.8915 12.0526
10.1747 -11.5330 13.1253
0.5201 -11.4317 11.2600
-2.8114 -16.4445 11.5701
-1.0337 -10.4652 4.3077
-1.7205 -7.3118 3.3643
2.3418 -3.4132 5.1341
-3.2247 -16.4827 8.7579
-4.4997 -13.0450 13.4089
0.9689 -12.3645 8.4323
-9.0329 -9.7717 4.0614
-6.7669 -11.5204 8.0641
2.2203 -12.7428 14.5523
-6.6999 -11.9320 5.7450
0.6622 -12.9969 6.1616
-7.3840 -11.2861 4.4860
2.3760 -12.4501 7.7226
-3.3509 -5.6804 3.0103
2.8004 -12.3815 10.5169
-2.8624 -10.2665 4.1163
5.8447 -9.2250 3.9321
-8.8584 -8.0003 3.5671
-6.5600 -11.7739 4.7715
-3.2473 -3.8411 2.6234
5.2552 -14.3486 10.9638
8.4448 -9.2497 9.7448
7.7017 -9.5308 12.4151
3.1295 -10.6116 10.0468
3.3702 -7.3003 13.0336
-4.3922 -10.7978 8.4610
-0.9111 -7.8893 3.3505
1.0509 -9.6213 6.7896
3.6636 -6.5844 6.2194
10.0002 -13.3044 13.6196
-0.0876 -10.6951 4.4846
4.1884 -12.7906 7.8310
0.3759 -4.7575 6.6979
-4.1282 -11.9770 5.9422
5.2699 -9.3277 11.2445
2.5382 -4.3738 8.4171
-0.3364 -18.3049 12.3438
-0.3042 -14.3639 9.3889
1.4782 -2.9998 4.8428
-1.9877 -10.6931 7.1399
2.0529 -13.4154 13.8362
5.3495 -10.9408 6.1154
6.8452 -6.5571 11.7991
2.7635 -6.1761 3.2007
3.3520 -7.7059 10.2853
-4.7029 -12.0797 13.2546
-1.3964 -16.9309 8.7696
4.5124 -14.6543 13.9830
-0.2891 -9.1127 9.6026
7.5291 -14.0702 12.6093
-1.0983 -18.7124 14.9924
0.0909 -11.6834 10.3971
-6.3873 -7.2344 4.5773
1.6514 -8.6039 2.5625
6.2975 -11.8055 11.5592
1.4309 -12.1920 7.5841
3.3427 -9.2343 5.2158
-3.3706 -6.6504 3.2036
4.0042 -11.0382 13.0704
0.1755 -13.2372 5.3272
-2.2284 -14.0043 4.1530
-1.6218 -15.1286 13.9860
5.5340 -10.5069 8.7257
-4.1134 -6.9561 6.2229
5.7999 -7.7555 8.9644
2.7525 -13.3573 10.6626
-4.6581 -13.5492 8.2223
-0.1223 -13.7912 12.0814
-3.0466 -8.5141 9.3557
1.2641 -7.5135 5.1052
1.4460 -6.9408 7.7978
1.0712 -15.9348 13.1813
-2.3288 -12.4636 9.2948
0.7658 -16.5471 10.4887
-5.7034 -14.7476 5.3875
-5.4232 -9.9929 2.9785
-0.7149 -3.7979 1.3002
3.4706 -8.8411 7.8919
-2.2009 -12.0704 11.9709
7.0929 -8.0969 6.5647
6.5650 -11.3118 14.2081
-5.9511 -13.2078 10.6220
-1.6107 -7.9474 6.5241
-2.5218 -14.7202 10.9673
0.9663 -8.0675 11.8595
-2.2102 -13.5988 6.9014
0.0706 -5.3699 4.0053
-0.5096 -12.7008 14.6242
4.3891 -17.4636 14.5632
1.8567 -17.5068 15.8864
-5.1557 -9.4991 5.6275
2.2401 -2.5923 2.1942
1.2293 -10.6096 12.7020
-4.2077 -10.3639 11.0712
-7.3030 -12.0550 7.4418
```

Results
The value obtained for the density is 3.0 g cm⁻³. Its energy above the most stable polymorph in this dataset is 0.0 meV per atom. For the formation energy from the elements, the calculation gives -1521 meV per atom. As for the symmetry: No. 14. The value obtained for the MP2020-corrected energy is -1029.9 eV for the cell shown.



[2]
VASP calculation (GGA+U) on crystalline BaCaTbFeO6 at its relaxed geometry.

Geometry as POSCAR:
```
BaCaTbFeO6
1.0
0.0000 -4.1004 -4.1004
4.1004 0.0000 -4.1004
4.1004 -4.1004 0.0000
O Tb Ca Ba Fe
6 1 1 1 1
Cartesian
6.3112 -4.1004 -4.1004
4.1004 -1.8897 -4.1004
4.1004 -4.1004 -6.3112
4.1004 -4.1004 -1.8897
1.8897 -4.1004 -4.1004
4.1004 -6.3112 -4.1004
4.1004 -4.1004 -4.1004
2.0502 -2.0502 -2.0502
6.1507 -6.1507 -6.1507
0.0000 0.0000 0.0000
```

Results
The value obtained for the density is 5.9 g cm⁻³. For the formation energy from the elements, the calculation gives -2617 meV per atom. As for the symmetry: No. 216. The value obtained for the MP2020-corrected energy is -72.9 eV for the cell shown.



[3]
VASP calculation (GGA+U) on crystalline Li3MnB2O6 at its relaxed geometry.

Geometry as POSCAR:
```
Li3MnB2O6
1.0
-5.0771 6.3520 0.2176
-0.0541 -3.9858 7.2167
5.2557 6.4092 0.1614
O Li B Mn
24 12 8 4
Cartesian
3.4434 7.0417 2.6941
-1.7231 7.0133 2.7218
-1.0974 5.9756 4.7512
-3.3190 1.7338 4.9015
1.4399 4.9501 5.4539
1.2217 2.8002 2.8443
-0.7358 5.0696 0.2789
0.4905 6.0772 2.8730
-0.6467 11.4501 0.4685
1.3109 9.1816 3.0331
2.0664 4.7034 0.7078
-1.1863 -0.4057 4.5623
1.8475 1.7621 4.8737
3.8519 3.8533 2.1148
3.2247 4.1003 6.8604
-1.3147 3.8253 2.1419
0.8600 3.7058 7.3168
-0.3659 2.6984 4.7226
-3.7272 4.9215 5.4821
-1.9412 4.0718 6.8877
-0.2766 9.0788 4.9121
0.7713 -2.6748 7.1277
0.4012 -0.3034 2.6836
-3.1008 4.6753 0.7354
-0.8320 7.0558 0.9957
3.2351 2.5316 3.3358
4.3344 7.0843 0.9683
2.0561 6.2725 4.2317
-4.2098 1.6911 6.6278
-3.1108 6.2436 4.2600
0.9565 1.7196 6.6000
-1.9314 2.5031 3.3639
1.6680 7.4385 2.0016
1.5787 1.0575 1.8122
-1.4542 7.7179 5.7837
-1.5434 1.3372 5.5941
-0.8471 -0.0399 3.2389
0.8822 2.4344 4.1677
1.9093 4.2599 6.5546
-3.2570 4.2314 6.5826
-1.7850 4.5153 1.0411
0.9717 8.8154 4.3567
-0.7579 6.3410 3.4279
3.3818 4.5435 1.0137
-0.3850 4.5238 5.8030
0.5991 10.6342 1.9817
0.5096 4.2527 1.7933
-0.4754 -1.8589 5.6119
```

Results
The value obtained for the density is 2.7 g cm⁻³. Its energy above the most stable polymorph in this dataset is 12.2 meV per atom. For the formation energy from the elements, the calculation gives -2521 meV per atom. The value obtained for the MP2020-corrected energy is -352.7 eV for the cell shown.



[4]
VASP calculation (GGA+U) on crystalline Fe3B11HO20 at its relaxed geometry.

Geometry as POSCAR:
```
Fe3B11HO20
1.0
-5.9969 4.6556 1.6464
1.2356 -1.2785 8.1157
11.0594 14.0581 0.5309
O B H Fe
80 44 4 12
Cartesian
5.9576 12.0634 5.9154
-2.5771 3.9455 8.9121
0.4180 10.4967 2.3790
10.3369 14.3650 4.3411
6.3647 6.3657 5.1826
-3.5439 3.5724 2.5696
1.0643 1.1186 7.9124
6.2523 15.8971 7.3084
5.4179 14.0740 4.6223
1.1251 -0.3963 5.2190
6.2215 10.5876 3.8989
3.1837 4.4098 5.4851
7.4984 12.4589 4.0512
5.3875 8.3457 3.2824
1.4279 4.4547 3.7532
1.6625 2.7243 5.5030
0.8982 0.7293 1.2092
1.7656 11.1575 4.2767
-2.2513 4.2811 4.4956
3.9313 14.4859 2.7243
7.7997 8.8601 3.3562
1.9832 9.4831 6.0452
7.9511 15.7104 8.9805
3.8128 6.1014 7.8914
8.5659 8.6348 6.7839
-0.8866 8.4588 2.4215
-0.4075 3.8267 6.0222
6.2819 13.9680 8.7952
5.3974 16.4377 2.7622
3.2318 2.9079 3.5492
-0.1327 2.6365 3.9140
-1.1708 1.7301 1.9181
6.6221 9.7766 7.5845
3.3077 9.3213 4.0173
0.9391 8.8128 3.9946
-0.9210 6.2781 4.3980
5.8491 4.9679 7.2572
7.9167 14.1962 7.0203
4.2603 11.6101 8.2329
4.8809 5.3615 2.6175
-0.7327 7.4502 6.5603
7.5436 11.6815 1.7326
4.3751 7.6262 5.3886
1.6778 6.5760 5.8432
2.5363 11.5714 2.0437
-0.8783 2.4798 8.1158
4.4136 7.3948 1.2821
5.7936 7.4363 7.3274
10.4208 10.5628 8.0886
6.5018 8.7497 5.4152
-0.3401 1.3603 5.9834
2.3332 4.1635 7.7650
7.8930 10.6837 5.7178
7.4760 15.2605 2.4059
9.9524 14.1567 8.4310
-1.9945 5.5633 6.5070
0.8006 6.9914 1.4736
4.2449 13.5157 6.7193
6.7318 17.1637 5.3309
5.5368 12.7115 2.5503
-2.7196 5.9171 2.7988
-2.7151 3.2041 6.6355
9.9706 11.5209 3.7395
2.1697 10.2496 8.3222
3.2842 6.9923 3.3508
9.9041 13.0622 6.3058
4.8919 9.7427 1.3970
9.0807 13.5783 1.7510
6.6798 8.1848 1.1862
-2.4238 1.9339 4.0301
2.7922 5.6028 1.4115
-0.6814 4.6776 2.6181
4.3073 9.1778 8.0642
-0.0514 6.0147 8.4197
2.6234 11.7606 6.4800
1.4991 7.8975 8.5266
0.9156 3.0951 1.8008
3.8371 2.4943 6.9232
8.5999 12.1685 8.1588
3.8816 12.4041 4.5413
5.7507 7.5225 5.8199
0.1770 1.9865 1.1648
5.6967 8.7700 8.1406
1.2223 9.2265 9.0464
9.0568 13.3645 7.4521
6.8948 11.4359 5.0008
6.7723 16.5045 2.2951
3.4515 12.5718 7.5013
4.0313 8.0514 4.0325
-1.0486 6.7109 7.7592
6.8143 12.1005 2.8316
2.3677 3.6282 4.4673
-3.8117 5.0830 2.2599
-1.6216 5.3230 3.5443
1.7644 10.6171 6.9143
2.9525 3.6047 6.6608
8.3310 12.6810 0.8607
-0.3149 1.2851 7.5062
2.4856 12.2769 5.0705
-2.2913 2.8195 8.0488
10.7812 14.0675 5.7020
3.0859 5.1217 8.7109
-1.7690 4.2026 5.9217
-1.6323 6.7335 5.5655
6.8166 17.1453 6.7905
8.7258 14.9879 1.7588
-1.1322 1.6384 3.4253
7.0696 14.9072 7.9976
5.3643 8.4236 1.7597
1.3438 11.5448 2.8635
1.0003 6.7408 9.2834
3.6885 10.3291 8.6920
1.9989 9.6292 4.5905
5.2656 6.0875 7.9363
4.8185 13.6499 3.3795
0.1687 2.6983 5.3897
0.3991 3.7542 2.9895
-3.1429 3.1993 3.9773
4.4197 15.7175 1.9345
4.8979 12.9862 5.5490
6.5448 9.1256 3.9561
3.8199 6.2938 2.1895
-0.1899 9.4067 3.2904
7.4277 9.4850 6.4097
0.8106 6.6568 6.3125
4.2741 15.3751 4.8894
9.0091 11.6992 3.5894
2.0725 5.6772 5.9661
7.8244 9.8307 0.7014
10.9484 13.1568 2.6750
7.4860 14.3791 4.9345
3.0375 3.4122 1.4152
1.1662 6.6874 3.6648
2.9965 7.8593 7.0178
0.4319 3.9543 8.7185
2.3654 0.8151 6.3110
10.1196 10.9487 5.9005
5.0836 4.8889 4.6924
4.2313 10.8604 3.0292
6.4149 11.8934 8.0621
```

Results
The value obtained for the density is 3.5 g cm⁻³. For the formation energy from the elements, the calculation gives -2550 meV per atom. As for the symmetry: No. 31. The value obtained for the MP2020-corrected energy is -1162.0 eV for the cell shown.